1.
The following is a r²SCAN calculation of an optimized crystal structure of Bi2S3O12, from the Materials Project.

For the energy relative to the lowest polymorph listed for this composition, the calculation gives 38 meV/atom. The calculation puts the total magnetization at 0.00 μB/f.u. The crystal system is trigonal. As for the mass density: 4.0 Mg/m³.

The structure belongs to space group R-3c (No. 167, hexagonal axes); the cell edges are 9.3787, 9.3787 and 22.9002 Å and the angles 90.00°, 90.00° and 120.00°. The inequivalent atoms are Bi at (0.0000, 0.0000, 0.1396), S at (0.0000, 0.2955, 0.2500), O at (0.0080, 0.2110, 0.3028) and O at (0.0207, 0.2062, 0.9209).

***

2.
The following is a r²SCAN calculation of an optimized crystal structure of Bi2S3O12, from the Materials Project.

For the energy relative to the lowest polymorph listed for this composition, the calculation gives 0 meV/atom. The calculation puts the total magnetization at 0.00 μB/f.u. The crystal system is monoclinic. As for the mass density: 4.9 Mg/m³.

The structure belongs to space group C2/c (No. 15); the cell edges are 17.320, 6.787 and 8.251 Å and the angles 90.00°, 101.54° and 90.00°. The inequivalent atoms are Bi at (0.150, 0.102, 0.048), S at (0.000, 0.077, 0.750), S at (0.188, 0.410, 0.691), O at (0.021, 0.196, 0.901), O at (0.070, 0.049, 0.246), O at (0.142, 0.408, 0.165), O at (0.151, 0.256, 0.581), O at (0.198, 0.351, 0.869) and O at (0.229, 0.054, 0.327).

***

no.,E_form (eV/atom)
1,-1.459
2,-1.497